[1]
Compound: RbMg14Ga
Source: the Materials Project database
Functional: PBE-GGA
Structure: relaxed

Computed properties:
Total energy in eV per atom: -1.5240
Formation energy in eV per atom: 0.13
Size of the total moment in μB/atom: 0.0000
Energy above the most stable polymorph in this dataset in meV per atom: 16
Volume in Å³/atom: 24.565

Geometry as CIF:
```
data_RbMg14Ga
_chemical_formula_sum 'Rb1 Mg14 Ga1'
_space_group_name_H-M_alt 'P 1'
_space_group_IT_number 1
_space_group_name_Hall 'P 1'
_cell_length_a 6.508
_cell_length_b 6.508
_cell_length_c 10.714
_cell_angle_alpha 90.00
_cell_angle_beta 90.00
_cell_angle_gamma 120.00
loop_
_atom_site_label
_atom_site_type_symbol
_atom_site_fract_x
_atom_site_fract_y
_atom_site_fract_z
Rb1 Rb 0.000 0.000 0.000
Mg1 Mg 0.006 0.503 0.000
Mg2 Mg 0.170 0.340 0.266
Mg3 Mg 0.170 0.340 0.734
Mg4 Mg 0.170 0.830 0.266
Mg5 Mg 0.170 0.830 0.734
Mg6 Mg 0.497 0.503 0.000
Mg7 Mg 0.497 0.994 0.000
Mg8 Mg 0.502 0.004 0.500
Mg9 Mg 0.502 0.498 0.500
Mg10 Mg 0.660 0.830 0.266
Mg11 Mg 0.660 0.830 0.734
Mg12 Mg 0.667 0.333 0.244
Mg13 Mg 0.667 0.333 0.756
Mg14 Mg 0.996 0.498 0.500
Ga1 Ga 0.000 0.000 0.500
```

***

[2]
Compound: Y2HgO4
Source: the Materials Project database
Functional: PBE-GGA
Structure: relaxed

Computed properties:
Total energy in eV per atom: -7.2589
Formation energy in eV per atom: -2.93
Size of the total moment in μB/atom: 0.0001
Energy above the most stable polymorph in this dataset in meV per atom: 85
Volume in Å³/atom: 16.392

Geometry as CIF:
```
data_Y2HgO4
_chemical_formula_sum 'Y4 Hg2 O8'
_space_group_name_H-M_alt 'P 1'
_space_group_IT_number 1
_space_group_name_Hall 'P 1'
_cell_length_a 6.872
_cell_length_b 6.872
_cell_length_c 6.872
_cell_angle_alpha 60.00
_cell_angle_beta 60.00
_cell_angle_gamma 60.00
loop_
_atom_site_label
_atom_site_type_symbol
_atom_site_fract_x
_atom_site_fract_y
_atom_site_fract_z
Y1 Y 0.000 0.000 0.000
Y2 Y 0.000 0.000 0.500
Y3 Y 0.000 0.500 0.000
Y4 Y 0.500 0.000 0.000
Hg1 Hg 0.375 0.375 0.375
Hg2 Hg 0.625 0.625 0.625
O1 O 0.206 0.765 0.765
O2 O 0.235 0.235 0.235
O3 O 0.235 0.235 0.794
O4 O 0.235 0.794 0.235
O5 O 0.765 0.206 0.765
O6 O 0.765 0.765 0.206
O7 O 0.765 0.765 0.765
O8 O 0.794 0.235 0.235
```

***

[3]
Compound: NdInCo2
Source: the Materials Project database
Functional: PBE-GGA
Structure: relaxed

Computed properties:
Total energy in eV per atom: -5.6299
Formation energy in eV per atom: -0.20
Size of the total moment in μB/atom: 0.5357
Volume in Å³/atom: 18.778

Geometry as CIF:
```
data_NdInCo2
_chemical_formula_sum 'Nd2 In2 Co4'
_space_group_name_H-M_alt 'P 1'
_space_group_IT_number 1
_space_group_name_Hall 'P 1'
_cell_length_a 5.098
_cell_length_b 4.075
_cell_length_c 7.232
_cell_angle_alpha 90.00
_cell_angle_beta 90.00
_cell_angle_gamma 90.00
loop_
_atom_site_label
_atom_site_type_symbol
_atom_site_fract_x
_atom_site_fract_y
_atom_site_fract_z
Nd1 Nd 0.250 0.000 0.217
Nd2 Nd 0.750 0.000 0.783
In1 In 0.250 0.500 0.841
In2 In 0.750 0.500 0.159
Co1 Co 0.000 0.500 0.500
Co2 Co 0.250 0.000 0.591
Co3 Co 0.500 0.500 0.500
Co4 Co 0.750 0.000 0.409
```